VASP calculation (PBE-GGA) on a geometry-optimized AsS structure.

Formation enthalpy at 0 K: -0.206 eV per atom
Distance to the lowest polymorph of the same formula: 17.3 kJ per mole of atoms
Corrected total energy (MP2020 scheme): -4.6036 eV per atom
Space group: P1, No. 1
Crystal system: triclinic

Cell: 6.8135 9.0085 27.1954 Å, 81.83 84.20 78.42°
Last column: nearest neighbours and their distance in Å.
Atoms (fractional coordinates):
As  0.0000  0.0000  0.0000  3 S 2.25-2.36
As  0.0041  0.3083  0.9161  2 S 2.26-2.27, 1 As 2.49
As  0.0342  0.0876  0.4363  2 S 2.30-2.35, 1 As 2.57
As  0.0419  0.4692  0.7434  1 S 2.26, 2 As 2.48-2.51
As  0.1584  0.6080  0.9998  1 S 2.28, 1 As 2.54
As  0.1837  0.5982  0.8025  1 S 2.28, 1 As 2.48
As  0.2459  0.5202  0.2757  2 S 2.27-2.34
As  0.2651  0.2564  0.3289  2 S 2.29-2.35
As  0.3183  0.0550  0.1377  1 S 2.27, 1 As 2.33
As  0.3810  0.3683  0.0406  2 S 2.25-2.27
As  0.4345  0.7268  0.9493  2 S 2.26-2.33
As  0.4517  0.7391  0.5017  1 S 2.32, 2 As 2.51-2.54
As  0.4757  0.1630  0.5388  1 S 2.28, 2 As 2.51-2.54
As  0.4775  0.5785  0.1499  3 S 2.28-2.33
As  0.5263  0.6588  0.6525  2 S 2.11-2.31
As  0.5467  0.9168  0.4256  3 As 2.47-2.54
As  0.6151  0.1092  0.6241  2 S 2.26-2.30
As  0.6205  0.0931  0.1622  1 S 2.31, 1 As 2.33
As  0.6501  0.1371  0.4537  3 As 2.47-2.57
As  0.7632  0.6576  0.4472  1 S 2.31, 2 As 2.51-2.52
As  0.8054  0.6641  0.7892  1 S 2.31, 2 As 2.51-2.58
As  0.8234  0.2040  0.8578  2 S 2.28-2.29, 1 As 2.49
As  0.8992  0.7331  0.1945  3 S 2.28-2.30
As  0.9837  0.7846  0.6627  3 S 2.28-2.32
S  0.0726  0.9058  0.3805  1 S 2.05
S  0.0813  0.7873  0.0537  2 As 2.25-2.28
S  0.1441  0.1202  0.2750  1 S 2.06
S  0.1533  0.2737  0.0967  2 As 2.27
S  0.1894  0.9292  0.9279  2 As 2.26-2.33
S  0.2258  0.4512  0.8776  2 As 2.26-2.28
S  0.2702  0.5894  0.4687  1 S 2.09, 1 As 2.32
S  0.2704  0.7948  0.6998  2 As 2.31
S  0.3964  0.5475  0.6048  1 As 2.11
S  0.4440  0.9505  0.5934  2 As 2.28-2.30
S  0.4798  0.3953  0.2189  2 As 2.31-2.34
S  0.5778  0.8030  0.0137  1 S 2.04
S  0.5996  0.8797  0.2189  2 As 2.29-2.31
S  0.6039  0.4211  0.0884  2 As 2.25-2.33
S  0.6601  0.0069  0.9871  1 S 2.04
S  0.7002  0.4291  0.8895  2 As 2.27-2.29
S  0.7793  0.8725  0.7282  2 As 2.28-2.31
S  0.7991  0.6176  0.1346  2 As 2.28
S  0.9282  0.0275  0.3205  2 S 2.05-2.06
S  0.9297  0.5261  0.2554  2 As 2.27-2.30
S  0.9385  0.2509  0.7765  2 As 2.26-2.28
S  0.9452  0.0129  0.6095  2 As 2.26-2.32
S  0.9772  0.3041  0.3799  2 As 2.29-2.30
S  0.9884  0.6432  0.5065  1 S 2.09, 1 As 2.31